Entry 1:
This record from the Materials Project describes an optimized crystal structure of Dy3Ir2. The functional is PBE.

energy	-7.1060	eV per atom
density	12658	kg/m3
calculated formation energy	-0.807	eV per atom

abc: 11.2613 11.2613 25.2556
angles: 90.00 90.00 90.00
Closest atoms and distances in Å follow each position.
Space group I4/mcm (No. 140)
One atom of each set of equivalent atoms:
Dy1 0.0000 0.5000 0.1122 x8  4 Ir 2.86-3.12
Dy2 0.0000 0.5000 0.2500 x4  4 Ir 2.90
Dy3 0.0754 0.2038 0.0717 x32  4 Ir 2.89-3.04
Dy4 0.0796 0.2105 0.3063 x32  5 Ir 2.78-3.07
Dy5 0.1495 0.3505 0.5000 x8  4 Ir 2.72-2.84
Ir1 0.0000 0.0000 0.0000 x4  8 Dy 3.04, 2 Ir 3.38
Ir2 0.0000 0.0000 0.1339 x8  8 Dy 2.91-2.95, 1 Ir 2.93
Ir3 0.0000 0.0000 0.2500 x4  8 Dy 2.91, 2 Ir 2.93
Ir4 0.0968 0.4032 0.0000 x8  6 Dy 2.84-2.89, 1 Ir 3.08
Ir5 0.1539 0.3461 0.1885 x16  6 Dy 2.90-3.12
Ir6 0.1791 0.3209 0.3940 x16  6 Dy 2.72-2.91

***

Entry 2:
This record from the Materials Project describes an optimized crystal structure of DyIr2. The functional is PBE.

energy	-8.2562	eV per atom
density	16666	kg/m3
calculated formation energy	-0.828	eV per atom

abc: 7.5826 7.5826 7.5826
angles: 90.00 90.00 90.00
Closest atoms and distances in Å follow each position.
Space group Fd-3m (No. 227, origin choice 2)
One atom of each set of equivalent atoms:
Dy1 0.1250 0.1250 0.1250 x8  12 Ir 3.14, 4 Dy 3.28
Ir1 0.0000 0.0000 0.5000 x16  6 Ir 2.68

***

Entry 3:
This record from the Materials Project describes an optimized crystal structure of LiDy2Ir. The functional is PBE.

energy	-5.5697	eV per atom
density	10330	kg/m3
calculated formation energy	-0.579	eV per atom

abc: 6.9592 6.9592 6.9592
angles: 90.00 90.00 90.00
Closest atoms and distances in Å follow each position.
Space group Fm-3m (No. 225)
One atom of each set of equivalent atoms:
Li1 0.0000 0.0000 0.0000 x4  8 Dy 3.01
Dy1 0.2500 0.2500 0.2500 x8  4 Li 3.01, 4 Ir 3.01
Ir1 0.0000 0.0000 0.5000 x4  8 Dy 3.01